NpTl2F6 | PBE | relaxed

Geometry as POSCAR:
```
NpTl2F6
1.0
3.5370 -6.1803 0.0000
3.5370 6.1803 0.0000
0.0000 0.0000 7.5281
Np Tl F
2 4 12
Direct
0.0546 0.9454 0.7500
0.9454 0.0546 0.2500
0.3449 0.6551 0.5021
0.3449 0.6551 0.9979
0.6551 0.3449 0.0021
0.6551 0.3449 0.4979
0.0102 0.6068 0.7500
0.1005 0.8995 0.0425
0.1005 0.8995 0.4575
0.2819 0.2990 0.7500
0.2990 0.2819 0.2500
0.3932 0.9898 0.7500
0.6068 0.0102 0.2500
0.7010 0.7181 0.7500
0.7181 0.7010 0.2500
0.8995 0.1005 0.5425
0.8995 0.1005 0.9575
0.9898 0.3932 0.2500
```



ScAsO5 | PBE | relaxed

Geometry as POSCAR:
```
ScAsO5
1.0
5.5513 0.0000 0.0000
-2.1606 5.6215 0.0000
-0.1642 -1.4041 6.7693
Sc As O
2 2 10
Direct
0.1133 0.2336 0.2079
0.8867 0.7664 0.7921
0.2510 0.3753 0.7439
0.7490 0.6247 0.2561
0.1069 0.1538 0.8811
0.1344 0.2529 0.5018
0.1707 0.6254 0.8212
0.4162 0.0779 0.2491
0.4236 0.5440 0.2209
0.5764 0.4560 0.7791
0.5838 0.9221 0.7509
0.8293 0.3746 0.1788
0.8656 0.7471 0.4982
0.8931 0.8462 0.1189
```



Na10Ca2Si7Sn6S5O48 | PBE | relaxed

Geometry as POSCAR:
```
Na10Ca2Si7Sn6S5O48
1.0
9.1108 0.0000 0.0000
-0.0199 15.7137 0.0000
-0.0374 -0.1468 22.9709
Na Ca Si Sn S O
30 6 21 18 15 144
Direct
0.0000 0.0000 0.0000
0.9995 0.3005 0.3336
0.0110 0.9600 0.6690
0.0137 0.3313 0.6710
0.1257 0.8305 0.1713
0.1279 0.4598 0.1699
0.1386 0.8009 0.8335
0.1781 0.1529 0.1676
0.3145 0.6359 0.9151
0.3157 0.9722 0.5867
0.3201 0.3177 0.2557
0.3264 0.3159 0.7528
0.3291 0.6446 0.4207
0.3287 0.9778 0.0841
0.4406 0.1573 0.6771
0.4916 0.4579 0.6775
0.4942 0.1320 0.0033
0.5030 0.1557 0.3415
0.6383 0.6548 0.8413
0.6491 0.9558 0.1702
0.6802 0.9843 0.8406
0.7020 0.6573 0.1767
0.8082 0.8201 0.2514
0.8250 0.4739 0.0869
0.8261 0.1373 0.4151
0.8255 0.8125 0.7542
0.8285 0.1534 0.9198
0.8307 0.4881 0.5825
0.9610 0.6531 0.6657
0.9970 0.6601 0.3380
0.3129 0.3108 0.1029
0.3184 0.3168 0.6059
0.3243 0.9833 0.4377
0.8164 0.8176 0.1058
0.8170 0.4842 0.9371
0.8261 0.8087 0.6017
0.0244 0.9840 0.8383
0.0315 0.6432 0.1738
0.1091 0.1434 0.6727
0.1190 0.4836 0.3370
0.1675 0.5061 0.6724
0.1732 0.1288 0.3385
0.1744 0.1673 0.0012
0.1821 0.7978 0.6737
0.4578 0.7946 0.1732
0.4634 0.8371 0.8364
0.4685 0.1314 0.8336
0.5181 0.4812 0.8358
0.6215 0.9809 0.3362
0.6656 0.9658 0.0059
0.6686 0.6281 0.3347
0.6762 0.3390 0.3380
0.6829 0.2950 0.6728
0.9556 0.2964 0.1726
0.9665 0.6624 0.5015
0.9669 0.6300 0.8388
0.9747 0.0051 0.1724
0.2905 0.6540 0.5671
0.3097 0.6470 0.7752
0.3126 0.6512 0.0711
0.3137 0.9805 0.7388
0.3237 0.9817 0.2399
0.3245 0.6477 0.2749
0.3261 0.3132 0.8986
0.3263 0.3177 0.3996
0.3261 0.9859 0.9326
0.8056 0.8118 0.4017
0.8137 0.8185 0.9013
0.8177 0.4820 0.7398
0.8204 0.4886 0.4321
0.8217 0.1516 0.7752
0.8271 0.4785 0.2388
0.8301 0.1477 0.2755
0.8304 0.1524 0.5701
0.8407 0.1490 0.0673
0.0181 0.3143 0.5016
0.1212 0.8119 0.0020
0.1672 0.8324 0.3367
0.1795 0.4688 0.0055
0.4696 0.5049 0.1703
0.4712 0.4661 0.5037
0.4810 0.1675 0.5060
0.5183 0.8096 0.5063
0.5324 0.1477 0.1715
0.6042 0.6470 0.6710
0.6177 0.3133 0.0056
0.6586 0.6661 0.0062
0.6712 0.0050 0.6705
0.9598 0.9685 0.5058
0.9730 0.3327 0.8369
0.0015 0.1585 0.7281
0.0035 0.8087 0.6722
0.0042 0.8223 0.3398
0.0089 0.1186 0.6140
0.0111 0.5058 0.3906
0.0207 0.4791 0.0016
0.0267 0.4592 0.2776
0.0271 0.8003 0.9487
0.0348 0.8222 0.0552
0.1017 0.3231 0.5557
0.1156 0.3035 0.4490
0.1184 0.9792 0.5015
0.1206 0.9611 0.7801
0.1215 0.9959 0.8971
0.1345 0.3076 0.1708
0.1338 0.6565 0.2318
0.1349 0.6188 0.1159
0.1355 0.3246 0.8395
0.1409 0.6531 0.8317
0.1510 0.6561 0.4990
0.1570 0.0018 0.1796
0.1882 0.5648 0.6133
0.1941 0.0737 0.3943
0.1947 0.8809 0.2812
0.2085 0.2274 0.6680
0.2092 0.7391 0.7308
0.2114 0.2328 0.9470
0.2117 0.8904 0.9965
0.2143 0.3963 0.3464
0.2142 0.4250 0.0602
0.2164 0.0587 0.6765
0.2162 0.7337 0.0041
0.2173 0.5702 0.3317
0.2296 0.7443 0.3318
0.2303 0.8714 0.3878
0.2324 0.4114 0.6683
0.2407 0.0689 0.9923
0.2432 0.4257 0.9532
0.2494 0.1932 0.0620
0.2531 0.7569 0.6139
0.2559 0.0923 0.2778
0.2559 0.2255 0.3435
0.2563 0.5483 0.7263
0.2559 0.5567 0.0062
0.2571 0.8933 0.6762
0.3747 0.8762 0.8921
0.3755 0.8890 0.1778
0.3759 0.7549 0.1138
0.3926 0.2243 0.8407
0.3975 0.4232 0.4519
0.3985 0.7412 0.8290
0.4003 0.0882 0.7743
0.4005 0.5429 0.2230
0.4020 0.4206 0.1644
0.4058 0.5532 0.5065
0.4073 0.3976 0.8425
0.4163 0.8811 0.5013
0.4169 0.0826 0.5024
0.4238 0.5704 0.8278
0.4268 0.2099 0.5584
0.4302 0.7308 0.2273
0.4313 0.2207 0.1691
0.4337 0.7262 0.5086
0.4420 0.0666 0.1733
0.4450 0.4195 0.5576
0.4450 0.5589 0.1171
0.4501 0.2193 0.4516
0.4532 0.0708 0.8911
0.4529 0.9020 0.7810
0.4888 0.9792 0.9945
0.4913 0.6411 0.3311
0.4909 0.6605 0.0078
0.4989 0.3229 0.3464
0.5083 0.0009 0.6737
0.5082 0.3072 0.6682
0.5096 0.6352 0.6187
0.5205 0.6567 0.7259
0.5225 0.0040 0.3905
0.5238 0.3004 0.9517
0.5252 0.9626 0.2745
0.5282 0.3244 0.0576
0.6088 0.7994 0.4513
0.6102 0.8213 0.5576
0.6153 0.4631 0.7743
0.6179 0.5037 0.8901
0.6204 0.1570 0.2251
0.6222 0.1372 0.1174
0.6318 0.5016 0.1749
0.6326 0.4711 0.4950
0.6328 0.8043 0.1711
0.6422 0.8283 0.8451
0.6483 0.1613 0.5075
0.6499 0.1356 0.8303
0.6889 0.7174 0.9516
0.6888 0.9189 0.0660
0.6910 0.5696 0.3916
0.6939 0.3977 0.2802
0.6961 0.5662 0.6729
0.6980 0.0605 0.6183
0.7002 0.2293 0.0083
0.7048 0.2308 0.7274
0.7058 0.7200 0.6680
0.7146 0.7075 0.0586
0.7167 0.0698 0.3275
0.7205 0.3841 0.0002
0.7207 0.5807 0.0023
0.7305 0.8962 0.3437
0.7362 0.0420 0.7249
0.7393 0.9209 0.6641
0.7417 0.0640 0.0088
0.7445 0.2427 0.3307
0.7492 0.5886 0.2758
0.7557 0.9227 0.9486
0.7569 0.7201 0.3412
0.7635 0.3787 0.3943
0.7655 0.2548 0.6139
0.7659 0.3891 0.6780
0.8812 0.3922 0.1745
0.8825 0.7261 0.8444
0.8827 0.0561 0.5058
0.8843 0.0514 0.2240
0.8839 0.5930 0.7779
0.8860 0.2524 0.1132
0.8907 0.5662 0.4951
0.8963 0.9244 0.4537
0.9067 0.2456 0.8326
0.9107 0.0642 0.8319
0.9107 0.3717 0.8881
0.9115 0.9099 0.1704
0.9130 0.6944 0.5642
0.9212 0.3890 0.4956
0.9220 0.8967 0.8435
0.9235 0.5581 0.1764
0.9253 0.9250 0.5606
0.9273 0.2332 0.5028
0.9305 0.2389 0.2304
0.9317 0.7268 0.4445
0.9328 0.7270 0.1686
0.9443 0.3807 0.7813
0.9474 0.5747 0.8945
0.9577 0.0600 0.1107
0.9850 0.5020 0.6792
0.9932 0.1567 0.0020
0.9992 0.1519 0.3319
```



FeBiSbS4 | PBE | relaxed

Geometry as POSCAR:
```
FeBiSbS4
1.0
11.5877 0.0000 0.0000
0.0000 3.6527 0.0000
0.0000 0.0000 13.8428
Fe Bi Sb S
4 4 4 16
Direct
0.1700 0.2500 0.1640
0.3300 0.7500 0.6640
0.6700 0.2500 0.3360
0.8300 0.7500 0.8360
0.0350 0.2500 0.6110
0.4650 0.7500 0.1110
0.5350 0.2500 0.8890
0.9650 0.7500 0.3890
0.1475 0.7500 0.9304
0.3525 0.2500 0.4304
0.6475 0.7500 0.5696
0.8525 0.2500 0.0696
0.0624 0.7500 0.1034
0.1013 0.2500 0.3117
0.2209 0.2500 0.7197
0.2371 0.7500 0.5196
0.2629 0.2500 0.0196
0.2791 0.7500 0.2197
0.3987 0.7500 0.8117
0.4376 0.2500 0.6034
0.5624 0.7500 0.3966
0.6013 0.2500 0.1883
0.7209 0.2500 0.7803
0.7371 0.7500 0.9804
0.7629 0.2500 0.4804
0.7791 0.7500 0.2803
0.8987 0.7500 0.6883
0.9376 0.2500 0.8966
```



TiCuGe | PBE | relaxed

Geometry as POSCAR:
```
TiCuGe
1.0
5.1174 0.0000 0.0000
0.0000 3.7523 0.0000
0.0000 0.0000 9.1127
Ti Cu Ge
4 4 4
Direct
0.2407 0.2500 0.0514
0.2593 0.7500 0.5514
0.7407 0.2500 0.4486
0.7593 0.7500 0.9486
0.0091 0.2500 0.7532
0.4909 0.7500 0.2532
0.5091 0.2500 0.7468
0.9909 0.7500 0.2468
0.2366 0.2500 0.3588
0.2634 0.7500 0.8588
0.7366 0.2500 0.1412
0.7634 0.7500 0.6412
```



Li2B6O9F2 | PBE | relaxed

Geometry as POSCAR:
```
Li2B6O9F2
1.0
2.4445 -8.1696 0.0000
2.4445 8.1696 0.0000
-0.3810 0.0000 10.1582
Li B O F
4 12 18 4
Direct
0.0366 0.9634 0.5000
0.1793 0.6644 0.3302
0.6644 0.1793 0.8302
0.9634 0.0366 0.0000
0.0283 0.5162 0.0377
0.0921 0.9044 0.7913
0.2204 0.2883 0.7346
0.2883 0.2204 0.2346
0.3265 0.5924 0.8950
0.3714 0.6652 0.6569
0.4896 0.8151 0.1225
0.5162 0.0283 0.5377
0.5924 0.3265 0.3950
0.6652 0.3714 0.1569
0.8151 0.4896 0.6225
0.9044 0.0921 0.2913
0.0546 0.4472 0.9284
0.0694 0.1370 0.1977
0.1370 0.0694 0.6977
0.2441 0.7047 0.1336
0.2467 0.3620 0.8627
0.2683 0.4300 0.6316
0.3620 0.2467 0.3627
0.3856 0.7764 0.5506
0.4300 0.2683 0.1316
0.4472 0.0546 0.4284
0.4501 0.7780 0.7826
0.5371 0.7737 0.0082
0.6578 0.9587 0.2318
0.7047 0.2441 0.6336
0.7737 0.5371 0.5082
0.7764 0.3856 0.0506
0.7780 0.4501 0.2826
0.9587 0.6578 0.7318
0.0800 0.3607 0.3488
0.3607 0.0800 0.8488
0.8172 0.9215 0.3971
0.9215 0.8172 0.8971
```



LuSi2Ru2 | PBE | relaxed

Geometry as POSCAR:
```
LuSi2Ru2
1.0
-2.0857 2.0857 4.7111
2.0857 -2.0857 4.7111
2.0857 2.0857 -4.7111
Lu Si Ru
1 2 2
Direct
0.0000 0.0000 0.0000
0.3698 0.3698 0.0000
0.6302 0.6302 0.0000
0.2500 0.7500 0.5000
0.7500 0.2500 0.5000
```



Mg14TiCr | the Materials Project | PBE | relaxed; polymorph energy (0 for the lowest one) = 0.13 eV per formula unit
1.0
6.3239 0.0000 0.0000
-3.1620 5.4767 0.0000
0.0000 0.0000 10.1098
Mg Ti Cr
14 1 1
Direct
0.0000 0.0000 0.2485
0.0000 0.0000 0.7515
0.0094 0.5047 0.2502
0.0094 0.5047 0.7498
0.3341 0.1671 0.5000
0.3370 0.1685 0.0000
0.4953 0.5047 0.2502
0.4953 0.5047 0.7498
0.4953 0.9906 0.2502
0.4953 0.9906 0.7498
0.8315 0.1685 0.0000
0.8315 0.6630 0.0000
0.8329 0.1671 0.5000
0.8329 0.6659 0.5000
0.3333 0.6667 0.0000
0.3333 0.6667 0.5000



no.,electronic total energy (eV per atom),formation energy from the elements (eV/f.u.)
1,-5.9894,-27.52
2,-6.6530,-14.27
3,-6.3193,-188.43
4,-4.9206,-3.42
5,-5.8765,-1.01
6,-7.3810,-55.09
7,-7.6798,-4.48
8,-2.3777,1.91